#A
Entry from the Materials Project: Mg3B2H9SO13F after structural relaxation (PBE).

Summary:
Total moment, μB/f.u.: 2.000
Space-group type: Pnma, No. 62
Density, g/cm³: 2.1

Unit cell a=8.5265 b=10.2680 c=13.1070 alpha=90.00 beta=90.00 gamma=90.00
Last column: nearest neighbours and their distance in Å.
Fractional positions:
Mg: 0.0044 0.6540 0.2500  1 F 1.97, 4 O 2.00-2.14
Mg: 0.4956 0.1540 0.2500  1 F 1.97, 4 O 2.00-2.14
Mg: 0.9956 0.3460 0.7500  1 F 1.97, 4 O 2.00-2.14
Mg: 0.5044 0.8460 0.7500  1 F 1.97, 4 O 2.00-2.14
Mg: 0.1083 0.5772 0.6084  1 F 1.95, 3 O 2.00-2.15
Mg: 0.3917 0.0772 0.8916  1 F 1.95, 3 O 2.00-2.15
Mg: 0.8917 0.4228 0.1084  1 F 1.95, 3 O 2.00-2.15
Mg: 0.6083 0.9228 0.3916  1 F 1.95, 3 O 2.00-2.15
Mg: 0.8917 0.4228 0.3916  1 F 1.95, 3 O 2.00-2.15
Mg: 0.6083 0.9228 0.1084  1 F 1.95, 3 O 2.00-2.15
Mg: 0.1083 0.5772 0.8916  1 F 1.95, 3 O 2.00-2.15
Mg: 0.3917 0.0772 0.6084  1 F 1.95, 3 O 2.00-2.15
B: 0.3630 0.8056 0.5187  3 O 1.34-1.43
B: 0.1370 0.3056 0.9813  3 O 1.34-1.43
B: 0.6370 0.1944 0.0187  3 O 1.34-1.43
B: 0.8630 0.6944 0.4813  3 O 1.34-1.43
B: 0.6370 0.1944 0.4813  3 O 1.34-1.43
B: 0.8630 0.6944 0.0187  3 O 1.34-1.43
B: 0.3630 0.8056 0.9813  3 O 1.34-1.43
B: 0.1370 0.3056 0.5187  3 O 1.34-1.43
H: 0.6867 0.5969 0.2793  1 H 0.77
H: 0.8133 0.0969 0.2207  1 H 0.77
H: 0.3133 0.4031 0.7793  1 H 0.77
H: 0.1867 0.9031 0.7207  1 H 0.77
H: 0.3133 0.4031 0.7207  1 H 0.77
H: 0.1867 0.9031 0.7793  1 H 0.77
H: 0.6867 0.5969 0.2207  1 H 0.77
H: 0.8133 0.0969 0.2793  1 H 0.77
H: 0.3578 0.6252 0.4594  1 O 0.99
H: 0.1422 0.1252 0.0406  1 O 0.99
H: 0.6422 0.3748 0.9594  1 O 0.99
H: 0.8578 0.8748 0.5406  1 O 0.99
H: 0.6422 0.3748 0.5406  1 O 0.99
H: 0.8578 0.8748 0.9594  1 O 0.99
H: 0.3578 0.6252 0.0406  1 O 0.99
H: 0.1422 0.1252 0.4594  1 O 0.99
H: 0.3114 0.8407 0.1378  1 O 1.02
H: 0.1886 0.3407 0.3622  1 O 1.02
H: 0.6886 0.1593 0.6378  1 O 1.02
H: 0.8114 0.6593 0.8622  1 O 1.02
H: 0.6886 0.1593 0.8622  1 O 1.02
H: 0.8114 0.6593 0.6378  1 O 1.02
H: 0.3114 0.8407 0.3622  1 O 1.02
H: 0.1886 0.3407 0.1378  1 O 1.02
H: 0.9144 0.8739 0.3081  1 O 1.00
H: 0.5856 0.3739 0.1919  1 O 1.00
H: 0.0856 0.1261 0.8081  1 O 1.00
H: 0.4144 0.6261 0.6919  1 O 1.00
H: 0.0856 0.1261 0.6919  1 O 1.00
H: 0.4144 0.6261 0.8081  1 O 1.00
H: 0.9144 0.8739 0.1919  1 O 1.00
H: 0.5856 0.3739 0.3081  1 O 1.00
H: 0.4469 0.2561 0.7500  2 O 1.23
H: 0.0531 0.7561 0.7500  2 O 1.23
H: 0.5531 0.7439 0.2500  2 O 1.23
H: 0.9469 0.2439 0.2500  2 O 1.23
S: 0.1548 0.9812 0.2500  4 O 1.47-1.54
S: 0.3452 0.4812 0.2500  4 O 1.47-1.54
S: 0.8452 0.0188 0.7500  4 O 1.47-1.54
S: 0.6548 0.5188 0.7500  4 O 1.47-1.54
O: 0.9393 0.0098 0.6548  1 S 1.49
O: 0.5607 0.5098 0.8452  1 S 1.49
O: 0.0607 0.9902 0.1548  1 S 1.49
O: 0.4393 0.4902 0.3452  1 S 1.49
O: 0.0607 0.9902 0.3452  1 S 1.49
O: 0.4393 0.4902 0.1548  1 S 1.49
O: 0.9393 0.0098 0.8452  1 S 1.49
O: 0.5607 0.5098 0.6548  1 S 1.49
O: 0.2270 0.8438 0.2500  1 S 1.54, 2 H 1.64
O: 0.2730 0.3438 0.2500  1 S 1.54, 2 H 1.64
O: 0.7730 0.1562 0.7500  1 S 1.54, 2 H 1.64
O: 0.7270 0.6562 0.7500  1 S 1.54, 2 H 1.64
O: 0.2221 0.5820 0.2500  1 S 1.47
O: 0.2779 0.0820 0.2500  1 S 1.47
O: 0.7779 0.4180 0.7500  1 S 1.47
O: 0.7221 0.9180 0.7500  1 S 1.47
O: 0.9147 0.6255 0.4011  1 B 1.34
O: 0.5853 0.1255 0.0989  1 B 1.34
O: 0.0853 0.3745 0.9011  1 B 1.34
O: 0.4147 0.8745 0.5989  1 B 1.34
O: 0.0853 0.3745 0.5989  1 B 1.34
O: 0.4147 0.8745 0.9011  1 B 1.34
O: 0.9147 0.6255 0.0989  1 B 1.34
O: 0.5853 0.1255 0.4011  1 B 1.34
O: 0.0737 0.7595 0.6573  1 H 1.23
O: 0.4263 0.2595 0.8427  1 H 1.23
O: 0.9263 0.2405 0.1573  1 H 1.23
O: 0.5737 0.7405 0.3427  1 H 1.23
O: 0.9263 0.2405 0.3427  1 H 1.23
O: 0.5737 0.7405 0.1573  1 H 1.23
O: 0.0737 0.7595 0.8427  1 H 1.23
O: 0.4263 0.2595 0.6573  1 H 1.23
O: 0.3130 0.6724 0.5187  1 H 0.99
O: 0.1870 0.1724 0.9813  1 H 0.99
O: 0.6870 0.3276 0.0187  1 H 0.99
O: 0.8130 0.8276 0.4813  1 H 0.99
O: 0.6870 0.3276 0.4813  1 H 0.99
O: 0.8130 0.8276 0.0187  1 H 0.99
O: 0.3130 0.6724 0.9813  1 H 0.99
O: 0.1870 0.1724 0.5187  1 H 0.99
O: 0.1259 0.1793 0.7500  2 H 1.00
O: 0.3741 0.6793 0.7500  2 H 1.00
O: 0.8741 0.8207 0.2500  2 H 1.00
O: 0.6259 0.3207 0.2500  2 H 1.00
O: 0.6310 0.1271 0.5746  1 H 1.02
O: 0.8690 0.6271 0.9254  1 H 1.02
O: 0.3690 0.8729 0.0746  1 H 1.02
O: 0.1310 0.3729 0.4254  1 H 1.02
O: 0.3690 0.8729 0.4254  1 H 1.02
O: 0.1310 0.3729 0.0746  1 H 1.02
O: 0.6310 0.1271 0.9254  1 H 1.02
O: 0.8690 0.6271 0.5746  1 H 1.02
F: 0.4324 0.0282 0.7500  3 Mg 1.95-1.97
F: 0.0676 0.5282 0.7500  3 Mg 1.95-1.97
F: 0.5676 0.9718 0.2500  3 Mg 1.95-1.97
F: 0.9324 0.4718 0.2500  3 Mg 1.95-1.97

***

#B
Entry from the Materials Project: Mg3B2H9SO13F after structural relaxation (PBE).

Summary:
Total moment, μB/f.u.: 0.000
Space-group type: Pnma, No. 62
Density, g/cm³: 2.0

Unit cell a=9.0101 b=10.1914 c=13.2416 alpha=90.00 beta=90.00 gamma=90.00
Last column: nearest neighbours and their distance in Å.
Fractional positions:
Mg: 0.6583 0.9409 0.2500  4 O 1.97-2.09, 1 F 2.00
Mg: 0.1583 0.5591 0.2500  4 O 1.97-2.09, 1 F 2.00
Mg: 0.3417 0.0591 0.7500  4 O 1.97-2.09, 1 F 2.00
Mg: 0.8417 0.4409 0.7500  4 O 1.97-2.09, 1 F 2.00
Mg: 0.6151 0.1224 0.6064  4 O 1.99-2.15, 1 F 1.99
Mg: 0.1151 0.3776 0.8936  4 O 1.99-2.15, 1 F 1.99
Mg: 0.3849 0.8776 0.1064  4 O 1.99-2.15, 1 F 1.99
Mg: 0.8849 0.6224 0.3936  4 O 1.99-2.15, 1 F 1.99
Mg: 0.3849 0.8776 0.3936  4 O 1.99-2.15, 1 F 1.99
Mg: 0.8849 0.6224 0.1064  4 O 1.99-2.15, 1 F 1.99
Mg: 0.6151 0.1224 0.8936  4 O 1.99-2.15, 1 F 1.99
Mg: 0.1151 0.3776 0.6064  4 O 1.99-2.15, 1 F 1.99
B: 0.8026 0.3621 0.5148  3 O 1.35-1.41
B: 0.3026 0.1379 0.9852  3 O 1.35-1.41
B: 0.1974 0.6379 0.0148  3 O 1.35-1.41
B: 0.6974 0.8621 0.4852  3 O 1.35-1.41
B: 0.1974 0.6379 0.4852  3 O 1.35-1.41
B: 0.6974 0.8621 0.0148  3 O 1.35-1.41
B: 0.8026 0.3621 0.9852  3 O 1.35-1.41
B: 0.3026 0.1379 0.5148  3 O 1.35-1.41
H: 0.6304 0.7036 0.3596  1 O 0.98
H: 0.1304 0.7964 0.1404  1 O 0.98
H: 0.3696 0.2964 0.8596  1 O 0.98
H: 0.8696 0.2036 0.6404  1 O 0.98
H: 0.3696 0.2964 0.6404  1 O 0.98
H: 0.8696 0.2036 0.8596  1 O 0.98
H: 0.6304 0.7036 0.1404  1 O 0.98
H: 0.1304 0.7964 0.3596  1 O 0.98
H: 0.6201 0.2932 0.4419  1 O 1.02
H: 0.1201 0.2068 0.0581  1 O 1.02
H: 0.3799 0.7068 0.9419  1 O 1.02
H: 0.8799 0.7932 0.5581  1 O 1.02
H: 0.3799 0.7068 0.5581  1 O 1.02
H: 0.8799 0.7932 0.9419  1 O 1.02
H: 0.6201 0.2932 0.0581  1 O 1.02
H: 0.1201 0.2068 0.4419  1 O 1.02
H: 0.8347 0.3822 0.1399  1 O 1.02
H: 0.3347 0.1178 0.3601  1 O 1.02
H: 0.1653 0.6178 0.6399  1 O 1.02
H: 0.6653 0.8822 0.8601  1 O 1.02
H: 0.1653 0.6178 0.8601  1 O 1.02
H: 0.6653 0.8822 0.6399  1 O 1.02
H: 0.8347 0.3822 0.3601  1 O 1.02
H: 0.3347 0.1178 0.1399  1 O 1.02
H: 0.9373 0.9898 0.3072  1 O 0.99
H: 0.4373 0.5102 0.1928  1 O 0.99
H: 0.0627 0.0102 0.8072  1 O 0.99
H: 0.5627 0.4898 0.6928  1 O 0.99
H: 0.0627 0.0102 0.6928  1 O 0.99
H: 0.5627 0.4898 0.8072  1 O 0.99
H: 0.9373 0.9898 0.1928  1 O 0.99
H: 0.4373 0.5102 0.3072  1 O 0.99
H: 0.3253 0.3822 0.7500  2 O 1.22
H: 0.8253 0.1178 0.7500  2 O 1.22
H: 0.6747 0.6178 0.2500  2 O 1.22
H: 0.1747 0.8822 0.2500  2 O 1.22
S: 0.0147 0.2615 0.2500  4 O 1.49-1.51
S: 0.5147 0.2385 0.2500  4 O 1.49-1.51
S: 0.9853 0.7385 0.7500  4 O 1.49-1.51
S: 0.4853 0.7615 0.7500  4 O 1.49-1.51
O: 0.9710 0.8212 0.6580  1 S 1.49, 1 H 1.58
O: 0.4710 0.6788 0.8420  1 S 1.49, 1 H 1.58
O: 0.0290 0.1788 0.1580  1 S 1.49, 1 H 1.58
O: 0.5290 0.3212 0.3420  1 S 1.49, 1 H 1.58
O: 0.0290 0.1788 0.3420  1 S 1.49, 1 H 1.58
O: 0.5290 0.3212 0.1580  1 S 1.49, 1 H 1.58
O: 0.9710 0.8212 0.8420  1 S 1.49, 1 H 1.58
O: 0.4710 0.6788 0.6580  1 S 1.49, 1 H 1.58
O: 0.8634 0.3253 0.2500  1 S 1.51, 2 H 1.59
O: 0.3634 0.1747 0.2500  1 S 1.51, 2 H 1.59
O: 0.1366 0.6747 0.7500  1 S 1.51, 2 H 1.59
O: 0.6366 0.8253 0.7500  1 S 1.51, 2 H 1.59
O: 0.6283 0.1326 0.2500  1 S 1.49
O: 0.1283 0.3674 0.2500  1 S 1.49
O: 0.3717 0.8674 0.7500  1 S 1.49
O: 0.8717 0.6326 0.7500  1 S 1.49
O: 0.6210 0.8788 0.3983  1 B 1.35
O: 0.1210 0.6212 0.1017  1 B 1.35
O: 0.3790 0.1212 0.8983  1 B 1.35
O: 0.8790 0.3788 0.6017  1 B 1.35
O: 0.3790 0.1212 0.6017  1 B 1.35
O: 0.8790 0.3788 0.8983  1 B 1.35
O: 0.6210 0.8788 0.1017  1 B 1.35
O: 0.1210 0.6212 0.3983  1 B 1.35
O: 0.8219 0.1207 0.6582  1 H 0.98
O: 0.3219 0.3793 0.8418  1 H 0.98
O: 0.1781 0.8793 0.1582  1 H 0.98
O: 0.6781 0.6207 0.3418  1 H 0.98
O: 0.1781 0.8793 0.3418  1 H 0.98
O: 0.6781 0.6207 0.1582  1 H 0.98
O: 0.8219 0.1207 0.8418  1 H 0.98
O: 0.3219 0.3793 0.6582  1 H 0.98
O: 0.6753 0.2817 0.5088  1 H 1.02
O: 0.1753 0.2183 0.9912  1 H 1.02
O: 0.3247 0.7183 0.0088  1 H 1.02
O: 0.8247 0.7817 0.4912  1 H 1.02
O: 0.3247 0.7183 0.4912  1 H 1.02
O: 0.8247 0.7817 0.0088  1 H 1.02
O: 0.6753 0.2817 0.9912  1 H 1.02
O: 0.1753 0.2183 0.5088  1 H 1.02
O: 0.1171 0.0492 0.7500  2 H 0.99
O: 0.6171 0.4508 0.7500  2 H 0.99
O: 0.8829 0.9508 0.2500  2 H 0.99
O: 0.3829 0.5492 0.2500  2 H 0.99
O: 0.1451 0.5746 0.5716  1 H 1.02
O: 0.6451 0.9254 0.9284  1 H 1.02
O: 0.8549 0.4254 0.0716  1 H 1.02
O: 0.3549 0.0746 0.4284  1 H 1.02
O: 0.8549 0.4254 0.4284  1 H 1.02
O: 0.3549 0.0746 0.0716  1 H 1.02
O: 0.1451 0.5746 0.9284  1 H 1.02
O: 0.6451 0.9254 0.5716  1 H 1.02
F: 0.0494 0.3725 0.7500  3 Mg 1.99-2.00
F: 0.5494 0.1275 0.7500  3 Mg 1.99-2.00
F: 0.9506 0.6275 0.2500  3 Mg 1.99-2.00
F: 0.4506 0.8725 0.2500  3 Mg 1.99-2.00

***

Most stable to least stable: #B, #A